Record 1
MnCr3Te4: optimized geometry, PBE.

## Properties
Symmetry = C2/m, No. 12
DFT total energy = -6.385 eV/atom
Spin magnetization = 14.951 μB per cell

Cell lengths 7.364, 7.364, 7.161 Å; angles 119.01, 119.01, 32.69 degrees
Atoms (fractional coordinates):
Mn 0.000 0.000 0.000
Cr 0.246 0.246 0.248
Cr 0.500 0.500 0.500
Cr 0.754 0.754 0.752
Te 0.127 0.127 0.791
Te 0.374 0.374 0.706
Te 0.626 0.626 0.294
Te 0.873 0.873 0.209

---

Record 2
Rb2AgBiCl6: optimized geometry, PBE.

## Properties
Symmetry = Fm-3m, No. 225
DFT total energy = -3.275 eV/atom

Cell lengths 7.692, 7.692, 7.692 Å; angles 60.00, 60.00, 60.00 degrees
Atoms (fractional coordinates):
Rb 0.250 0.250 0.250
Rb 0.750 0.750 0.750
Ag 0.000 0.000 0.000
Bi 0.500 0.500 0.500
Cl 0.250 0.250 0.750
Cl 0.250 0.750 0.250
Cl 0.250 0.750 0.750
Cl 0.750 0.250 0.250
Cl 0.750 0.250 0.750
Cl 0.750 0.750 0.250

---

Record 3
CeSi2Ir: optimized geometry, PBE.

## Properties
Symmetry = Cmcm, No. 63
DFT total energy = -7.357 eV/atom

Cell lengths 8.674, 8.674, 4.186 Å; angles 90.00, 90.00, 151.92 degrees
Atoms (fractional coordinates):
Ce 0.106 0.894 0.750
Ce 0.894 0.106 0.250
Si 0.249 0.751 0.250
Si 0.464 0.536 0.750
Si 0.536 0.464 0.250
Si 0.751 0.249 0.750
Ir 0.323 0.677 0.750
Ir 0.677 0.323 0.250

---

Record 4
Tm3PbC: optimized geometry, PBE.

## Properties
Symmetry = Pm-3m, No. 221
DFT total energy = -5.836 eV/atom

Cell lengths 4.837, 4.837, 4.837 Å; angles 90.00, 90.00, 90.00 degrees
Atoms (fractional coordinates):
Tm 0.000 0.000 0.500
Tm 0.000 0.500 0.000
Tm 0.500 0.000 0.000
Pb 0.500 0.500 0.500
C 0.000 0.000 0.000

---

Record 5
SmCuO3: optimized geometry, PBE.

## Properties
Symmetry = R-3c, No. 167
DFT total energy = -6.699 eV/atom
Spin magnetization = 0.001 μB per cell

Cell lengths 5.334, 5.334, 5.334 Å; angles 62.44, 62.44, 62.44 degrees
Atoms (fractional coordinates):
Sm 0.250 0.250 0.250
Sm 0.750 0.750 0.750
Cu 0.000 0.000 0.000
Cu 0.500 0.500 0.500
O 0.173 0.750 0.327
O 0.250 0.673 0.827
O 0.327 0.173 0.750
O 0.673 0.827 0.250
O 0.750 0.327 0.173
O 0.827 0.250 0.673

---

Record 6
Er5Ir2: optimized geometry, PBE.

## Properties
Symmetry = C2/c, No. 15
DFT total energy = -6.486 eV/atom
Spin magnetization = 0.009 μB per cell

Cell lengths 8.411, 8.411, 7.162 Å; angles 96.32, 96.32, 45.19 degrees
Atoms (fractional coordinates):
Er 0.073 0.927 0.750
Er 0.154 0.289 0.319
Er 0.288 0.530 0.082
Er 0.289 0.154 0.819
Er 0.470 0.712 0.418
Er 0.530 0.288 0.582
Er 0.711 0.846 0.181
Er 0.712 0.470 0.918
Er 0.846 0.711 0.681
Er 0.927 0.073 0.250
Ir 0.109 0.673 0.427
Ir 0.327 0.891 0.073
Ir 0.673 0.109 0.927
Ir 0.891 0.327 0.573

---

Record 7
SiO2: optimized geometry, PBE.

## Properties
DFT total energy = -7.900 eV/atom
Spin magnetization = 0.000 μB per cell

Cell lengths 14.186, 18.607, 7.528 Å; angles 90.00, 99.77, 90.00 degrees
Atoms (fractional coordinates):
Si 0.860 0.500 0.588
Si 0.609 0.157 0.936
O 0.371 0.000 0.377
Si 0.901 0.253 0.416
O 0.648 0.806 0.422
O 0.393 0.204 0.227
O 0.832 0.182 0.388
O 0.332 0.682 0.388
O 0.218 0.431 0.353
O 0.893 0.296 0.227
O 0.820 0.327 0.887
O 0.124 0.704 0.761
Si 0.609 0.843 0.936
O 0.968 0.500 0.704
Si 0.616 0.247 0.572
Si 0.934 0.500 0.216
O 0.718 0.069 0.353
O 0.197 0.327 0.101
O 0.799 0.569 0.636
O 0.611 0.929 0.894
O 0.320 0.827 0.887
Si 0.901 0.747 0.416
Si 0.908 0.657 0.053
O 0.685 0.682 0.601
Si 0.109 0.343 0.936
O 0.369 0.806 0.566
Si 0.408 0.843 0.053
O 0.369 0.194 0.566
Si 0.083 0.500 0.773
O 0.509 0.820 0.994
Si 0.401 0.753 0.416
O 0.009 0.226 0.494
O 0.697 0.173 0.101
O 0.009 0.680 0.994
O 0.871 0.500 0.377
O 0.549 0.000 0.285
Si 0.224 0.655 0.316
O 0.406 0.929 0.094
O 0.820 0.673 0.887
O 0.111 0.571 0.894
O 0.009 0.320 0.994
O 0.697 0.827 0.101
O 0.124 0.296 0.761
O 0.646 0.000 0.611
O 0.648 0.194 0.422
O 0.185 0.182 0.601
O 0.685 0.318 0.601
O 0.320 0.173 0.887
O 0.869 0.306 0.566
O 0.468 0.000 0.704
O 0.799 0.431 0.636
O 0.624 0.796 0.761
Si 0.360 0.000 0.588
O 0.906 0.571 0.094
O 0.009 0.774 0.494
Si 0.724 0.845 0.316
O 0.832 0.818 0.388
Si 0.116 0.747 0.572
O 0.332 0.318 0.388
O 0.148 0.694 0.422
Si 0.583 0.000 0.773
Si 0.908 0.343 0.053
O 0.146 0.500 0.611
Si 0.793 0.345 0.673
O 0.509 0.726 0.494
O 0.406 0.071 0.094
O 0.509 0.180 0.994
Si 0.616 0.753 0.572
Si 0.224 0.345 0.316
Si 0.109 0.657 0.936
O 0.299 0.069 0.636
Si 0.157 0.500 0.400
O 0.049 0.500 0.285
O 0.611 0.071 0.894
Si 0.657 0.000 0.400
Si 0.116 0.253 0.572
Si 0.724 0.155 0.316
O 0.393 0.796 0.227
O 0.624 0.204 0.761
Si 0.434 0.000 0.216
O 0.718 0.931 0.353
O 0.869 0.694 0.566
O 0.148 0.306 0.422
O 0.509 0.274 0.494
Si 0.293 0.155 0.673
O 0.893 0.704 0.227
O 0.218 0.569 0.353
O 0.111 0.429 0.894
Si 0.293 0.845 0.673
O 0.299 0.931 0.636
Si 0.793 0.655 0.673
Si 0.401 0.247 0.416
O 0.197 0.673 0.101
O 0.906 0.429 0.094
O 0.185 0.818 0.601
Si 0.408 0.157 0.053

---

Record 8
Li10Fe4S9: optimized geometry, PBE.

## Properties
Symmetry = P4_2/nmc, No. 137
DFT total energy = -4.819 eV/atom
Spin magnetization = 31.999 μB per cell

Cell lengths 11.749, 11.749, 5.719 Å; angles 90.00, 90.00, 90.00 degrees
Atoms (fractional coordinates):
Li 0.066 0.100 0.035
Li 0.066 0.400 0.035
Li 0.100 0.066 0.535
Li 0.100 0.434 0.535
Li 0.250 0.250 0.075
Li 0.250 0.250 0.575
Li 0.400 0.066 0.535
Li 0.400 0.434 0.535
Li 0.434 0.100 0.035
Li 0.434 0.400 0.035
Li 0.566 0.600 0.965
Li 0.566 0.900 0.965
Li 0.600 0.566 0.465
Li 0.600 0.934 0.465
Li 0.750 0.750 0.425
Li 0.750 0.750 0.925
Li 0.900 0.566 0.465
Li 0.900 0.934 0.465
Li 0.934 0.600 0.965
Li 0.934 0.900 0.965
Fe 0.097 0.750 0.481
Fe 0.250 0.597 0.019
Fe 0.250 0.903 0.019
Fe 0.403 0.750 0.481
Fe 0.597 0.250 0.519
Fe 0.750 0.097 0.981
Fe 0.750 0.403 0.981
Fe 0.903 0.250 0.519
S 0.084 0.250 0.322
S 0.085 0.585 0.250
S 0.085 0.915 0.250
S 0.250 0.084 0.822
S 0.250 0.416 0.822
S 0.250 0.750 0.750
S 0.415 0.585 0.250
S 0.415 0.915 0.250
S 0.416 0.250 0.322
S 0.584 0.750 0.678
S 0.585 0.085 0.750
S 0.585 0.415 0.750
S 0.750 0.250 0.250
S 0.750 0.584 0.178
S 0.750 0.916 0.178
S 0.915 0.085 0.750
S 0.915 0.415 0.750
S 0.916 0.750 0.678

---

Record 9
InH12N3F6: optimized geometry, PBE.

## Properties
Symmetry = P2_1/c, No. 14
DFT total energy = -4.857 eV/atom
Spin magnetization = 0.000 μB per cell

Cell lengths 11.640, 6.552, 11.664 Å; angles 90.00, 111.26, 90.00 degrees
Atoms (fractional coordinates):
In 0.000 0.000 0.000
In 0.000 0.500 0.500
In 0.500 0.000 0.500
In 0.500 0.500 0.000
H 0.039 0.004 0.276
H 0.039 0.496 0.776
H 0.089 0.042 0.431
H 0.089 0.458 0.931
H 0.110 0.688 0.871
H 0.110 0.812 0.371
H 0.192 0.024 0.362
H 0.192 0.476 0.862
H 0.195 0.093 0.670
H 0.195 0.407 0.170
H 0.239 0.613 0.264
H 0.239 0.887 0.764
H 0.283 0.542 0.621
H 0.283 0.958 0.121
H 0.296 0.120 0.818
H 0.296 0.380 0.318
H 0.341 0.503 0.213
H 0.341 0.997 0.713
H 0.343 0.141 0.054
H 0.343 0.359 0.554
H 0.379 0.603 0.545
H 0.379 0.897 0.045
H 0.435 0.022 0.185
H 0.435 0.478 0.685
H 0.565 0.522 0.315
H 0.565 0.978 0.815
H 0.621 0.103 0.955
H 0.621 0.397 0.455
H 0.657 0.641 0.446
H 0.657 0.859 0.946
H 0.659 0.003 0.287
H 0.659 0.497 0.787
H 0.704 0.620 0.682
H 0.704 0.880 0.182
H 0.717 0.042 0.879
H 0.717 0.458 0.379
H 0.761 0.113 0.236
H 0.761 0.387 0.736
H 0.805 0.593 0.830
H 0.805 0.907 0.330
H 0.808 0.524 0.138
H 0.808 0.976 0.638
H 0.890 0.188 0.629
H 0.890 0.312 0.129
H 0.911 0.542 0.069
H 0.911 0.958 0.569
H 0.961 0.504 0.224
H 0.961 0.996 0.724
N 0.108 0.530 0.860
N 0.108 0.970 0.360
N 0.268 0.025 0.741
N 0.268 0.475 0.241
N 0.361 0.006 0.102
N 0.361 0.494 0.602
N 0.639 0.506 0.398
N 0.639 0.994 0.898
N 0.732 0.525 0.759
N 0.732 0.975 0.259
N 0.892 0.030 0.640
N 0.892 0.470 0.140
F 0.083 0.550 0.367
F 0.083 0.950 0.867
F 0.088 0.211 0.550
F 0.088 0.289 0.050
F 0.152 0.639 0.636
F 0.152 0.861 0.136
F 0.336 0.180 0.427
F 0.336 0.320 0.927
F 0.396 0.740 0.431
F 0.396 0.760 0.931
F 0.462 0.542 0.165
F 0.462 0.958 0.665
F 0.538 0.042 0.335
F 0.538 0.458 0.835
F 0.604 0.240 0.069
F 0.604 0.260 0.569
F 0.664 0.680 0.073
F 0.664 0.820 0.573
F 0.848 0.139 0.864
F 0.848 0.361 0.364
F 0.912 0.711 0.950
F 0.912 0.789 0.450
F 0.917 0.050 0.133
F 0.917 0.450 0.633

---

Record 10
Cs2RbSiF7: optimized geometry, PBE.

## Properties
Symmetry = Cmmm, No. 65
DFT total energy = -4.994 eV/atom
Spin magnetization = 0.002 μB per cell

Cell lengths 8.332, 8.332, 6.136 Å; angles 90.00, 90.00, 90.59 degrees
Atoms (fractional coordinates):
Cs 0.000 0.500 0.500
Cs 0.195 0.805 0.000
Cs 0.500 0.000 0.500
Cs 0.805 0.195 0.000
Rb 0.305 0.305 0.000
Rb 0.695 0.695 0.000
Si 0.000 0.000 0.500
Si 0.500 0.500 0.500
F 0.000 0.500 0.000
F 0.104 0.104 0.300
F 0.104 0.104 0.700
F 0.145 0.855 0.500
F 0.353 0.353 0.500
F 0.398 0.602 0.299
F 0.398 0.602 0.701
F 0.500 0.000 0.000
F 0.602 0.398 0.299
F 0.602 0.398 0.701
F 0.647 0.647 0.500
F 0.855 0.145 0.500
F 0.896 0.896 0.300
F 0.896 0.896 0.700

---

Record 11
Ti2ZnO4: optimized geometry, PBE.

## Properties
Symmetry = P3m1, No. 156
Spin magnetization = 3.698 μB per cell
Energy relative to the lowest polymorph listed for this composition = 0.017 eV/atom

Cell lengths 6.017, 6.017, 14.925 Å; angles 90.00, 90.00, 120.00 degrees
Atoms (fractional coordinates):
Ti 0.000 0.000 0.000
Ti 0.000 0.000 0.390
Ti 0.029 0.514 0.879
Ti 0.166 0.332 0.550
Ti 0.166 0.834 0.550
Ti 0.320 0.160 0.218
Ti 0.333 0.667 0.722
Ti 0.486 0.514 0.879
Ti 0.486 0.971 0.879
Ti 0.668 0.834 0.550
Ti 0.840 0.160 0.218
Ti 0.840 0.680 0.218
Zn 0.000 0.000 0.752
Zn 0.333 0.667 0.099
Zn 0.333 0.667 0.343
Zn 0.667 0.333 0.052
Zn 0.667 0.333 0.420
Zn 0.667 0.333 0.681
O 0.000 0.000 0.129
O 0.000 0.000 0.622
O 0.026 0.513 0.630
O 0.153 0.306 0.301
O 0.153 0.847 0.301
O 0.173 0.345 0.798
O 0.173 0.827 0.798
O 0.315 0.157 0.471
O 0.333 0.667 0.477
O 0.333 0.667 0.966
O 0.344 0.172 0.961
O 0.487 0.513 0.630
O 0.487 0.974 0.630
O 0.511 0.023 0.145
O 0.511 0.489 0.145
O 0.655 0.827 0.798
O 0.667 0.333 0.289
O 0.667 0.333 0.814
O 0.694 0.847 0.301
O 0.828 0.172 0.961
O 0.828 0.656 0.961
O 0.843 0.157 0.471
O 0.843 0.685 0.471
O 0.977 0.489 0.145

---

Copy entry 8 word for word.
Li10Fe4S9: optimized geometry, PBE.

## Properties
Symmetry = P4_2/nmc, No. 137
DFT total energy = -4.819 eV/atom
Spin magnetization = 31.999 μB per cell

Cell lengths 11.749, 11.749, 5.719 Å; angles 90.00, 90.00, 90.00 degrees
Atoms (fractional coordinates):
Li 0.066 0.100 0.035
Li 0.066 0.400 0.035
Li 0.100 0.066 0.535
Li 0.100 0.434 0.535
Li 0.250 0.250 0.075
Li 0.250 0.250 0.575
Li 0.400 0.066 0.535
Li 0.400 0.434 0.535
Li 0.434 0.100 0.035
Li 0.434 0.400 0.035
Li 0.566 0.600 0.965
Li 0.566 0.900 0.965
Li 0.600 0.566 0.465
Li 0.600 0.934 0.465
Li 0.750 0.750 0.425
Li 0.750 0.750 0.925
Li 0.900 0.566 0.465
Li 0.900 0.934 0.465
Li 0.934 0.600 0.965
Li 0.934 0.900 0.965
Fe 0.097 0.750 0.481
Fe 0.250 0.597 0.019
Fe 0.250 0.903 0.019
Fe 0.403 0.750 0.481
Fe 0.597 0.250 0.519
Fe 0.750 0.097 0.981
Fe 0.750 0.403 0.981
Fe 0.903 0.250 0.519
S 0.084 0.250 0.322
S 0.085 0.585 0.250
S 0.085 0.915 0.250
S 0.250 0.084 0.822
S 0.250 0.416 0.822
S 0.250 0.750 0.750
S 0.415 0.585 0.250
S 0.415 0.915 0.250
S 0.416 0.250 0.322
S 0.584 0.750 0.678
S 0.585 0.085 0.750
S 0.585 0.415 0.750
S 0.750 0.250 0.250
S 0.750 0.584 0.178
S 0.750 0.916 0.178
S 0.915 0.085 0.750
S 0.915 0.415 0.750
S 0.916 0.750 0.678